(1)
# SmCu2Sn2

A relaxed SmCu2Sn2 crystal (r2SCAN, the Materials Project database).

Summary:
E (eV per atom): -20.612

abc: 4.3956 4.3956 10.6570
angles: 90.00 90.00 90.00
Last column: nearest neighbours and their distance in Å.
Space group P4/nmm (No. 129, origin choice 2)
Asymmetric unit:
Sm  0.2500  0.2500  0.2384 [2 per cell]  8 Sn 3.32-3.55, 8 Cu 3.36-3.38
Cu  0.2500  0.2500  0.6370 [2 per cell]  5 Sn 2.51-2.64
Cu  0.2500  0.7500  0.0000 [2 per cell]  4 Sn 2.59
Sn  0.2500  0.2500  0.8722 [2 per cell]  5 Cu 2.51-2.59
Sn  0.2500  0.7500  0.5000 [2 per cell]  4 Cu 2.64

(2)
# Sm3Cu4Sn4

A relaxed Sm3Cu4Sn4 crystal (r2SCAN, the Materials Project database).

Summary:
E (eV per atom): -21.638

abc: 4.5193 6.9607 14.8785
angles: 90.00 90.00 90.00
Last column: nearest neighbours and their distance in Å.
Space group Immm (No. 71)
Asymmetric unit:
Sm  0.0000  0.0000  0.0000 [2 per cell]  6 Sn 3.07-3.22
Sm  0.0000  0.5000  0.1330 [4 per cell]  6 Sn 3.18-3.31, 6 Cu 3.20-3.21
Cu  0.0000  0.3152  0.3306 [8 per cell]  1 Cu 2.57, 4 Sn 2.64-2.77
Sn  0.0000  0.0000  0.2164 [4 per cell]  6 Cu 2.69-2.77
Sn  0.0000  0.2013  0.5000 [4 per cell]  2 Cu 2.64, 1 Sn 2.80

(3)
# Cu3Sn

A relaxed Cu3Sn crystal (r2SCAN, the Materials Project database).

Summary:
E (eV per atom): -14.286

abc: 5.5068 5.5068 4.2727
angles: 90.00 90.00 120.00
Last column: nearest neighbours and their distance in Å.
Space group P6_3/mmc (No. 194)
Asymmetric unit:
Cu  0.1558  0.3115  0.2500 [6 per cell]  6 Cu 2.57-2.60, 4 Sn 2.73-2.76
Sn  0.3333  0.6667  0.7500 [2 per cell]  12 Cu 2.73-2.76

(4)
# Cu5Sn4

A relaxed Cu5Sn4 crystal (r2SCAN, the Materials Project database).

Summary:
E above lowest polymorph (meV/atom): 8

abc: 12.7064 7.3178 10.1321
angles: 90.00 90.66 90.00
Last column: nearest neighbours and their distance in Å.
Space group C2 (No. 5)
Asymmetric unit:
Cu  0.0000  0.0000  0.0000 [2 per cell]  5 Sn 2.61-2.73, 6 Cu 2.62-2.72
Cu  0.0072  0.3188  0.8737 [4 per cell]  4 Cu 2.54-2.66, 6 Sn 2.69-2.84
Cu  0.0077  0.3359  0.6229 [4 per cell]  3 Cu 2.50-2.68, 6 Sn 2.69-2.77
Cu  0.1605  0.8616  0.8736 [4 per cell]  4 Cu 2.54-2.63, 4 Sn 2.64-2.80
Cu  0.1657  0.8394  0.1258 [4 per cell]  4 Cu 2.55-2.72, 5 Sn 2.72-2.84
Cu  0.1680  0.8552  0.6228 [4 per cell]  3 Cu 2.50-2.68, 4 Sn 2.68-2.76
Cu  0.1702  0.1768  0.7493 [4 per cell]  5 Sn 2.61-2.74, 6 Cu 2.63-2.70
Cu  0.1741  0.8331  0.3769 [4 per cell]  3 Cu 2.50-2.63, 4 Sn 2.62-2.79
Sn  0.0000  0.6437  0.0000 [2 per cell]  7 Cu 2.61-2.90
Sn  0.0000  0.6706  0.5000 [2 per cell]  6 Cu 2.75-2.82
Sn  0.0091  0.9915  0.2692 [4 per cell]  8 Cu 2.62-2.81
Sn  0.1510  0.4984  0.2489 [4 per cell]  7 Cu 2.62-2.89
Sn  0.1643  0.5336  0.7516 [4 per cell]  7 Cu 2.61-2.86
Sn  0.1684  0.1765  0.4801 [4 per cell]  7 Cu 2.68-2.77
Sn  0.1787  0.1851  0.0193 [4 per cell]  8 Cu 2.64-2.80

(5)
# Cu5Sn4

A relaxed Cu5Sn4 crystal (r2SCAN, the Materials Project database).

Summary:
E above lowest polymorph (meV/atom): 0

abc: 9.8490 7.3585 9.8058
angles: 90.00 117.66 90.00
Last column: nearest neighbours and their distance in Å.
Space group P2_1/c (No. 14)
Asymmetric unit:
Cu  0.0585  0.2244  0.4424 [4 per cell]  4 Cu 2.54-2.65, 4 Sn 2.65-2.78
Cu  0.1897  0.7450  0.3125 [4 per cell]  4 Cu 2.52-2.73, 4 Sn 2.72-2.80
Cu  0.1909  0.5905  0.0624 [4 per cell]  5 Sn 2.63-2.74, 6 Cu 2.63-2.73
Cu  0.3158  0.2241  0.6843 [4 per cell]  3 Cu 2.54-2.63, 6 Sn 2.68-2.80
Cu  0.4295  0.7432  0.5672 [4 per cell]  3 Cu 2.52-2.63, 5 Sn 2.70-2.79
Sn  0.0710  0.0950  0.7148 [4 per cell]  8 Cu 2.65-2.78
Sn  0.1841  0.5518  0.5642 [4 per cell]  7 Cu 2.63-2.88
Sn  0.3238  0.0840  0.4231 [4 per cell]  7 Cu 2.63-2.90
Sn  0.4570  0.5923  0.3307 [4 per cell]  7 Cu 2.68-2.79

(6)
# Cu3Sn

A relaxed Cu3Sn crystal (r2SCAN, the Materials Project database).

Summary:
E (eV per atom): -14.288

abc: 4.3237 5.4325 4.7646
angles: 90.00 90.00 90.00
Last column: nearest neighbours and their distance in Å.
Space group Pmmn (No. 59, origin choice 2)
Asymmetric unit:
Cu  0.2500  0.0005  0.1558 [4 per cell]  7 Cu 2.57-2.72, 4 Sn 2.70-2.75
Cu  0.2500  0.7500  0.6990 [2 per cell]  6 Cu 2.57-2.64, 4 Sn 2.72-2.75
Sn  0.2500  0.2500  0.6588 [2 per cell]  12 Cu 2.70-2.75

(7)
# SrCuSn2

A relaxed SrCuSn2 crystal (r2SCAN, the Materials Project database).

Summary:
E (eV per atom): -19.327

abc: 4.6253 19.3799 4.5525
angles: 90.00 90.00 90.00
Last column: nearest neighbours and their distance in Å.
Space group Cmcm (No. 63)
Asymmetric unit:
Sr  0.0000  0.1081  0.2500 [4 per cell]  10 Sn 3.48-3.74, 4 Cu 3.50
Cu  0.0000  0.3241  0.2500 [4 per cell]  5 Sn 2.57-2.73
Sn  0.0000  0.2504  0.7500 [4 per cell]  4 Cu 2.69-2.73
Sn  0.0000  0.4567  0.2500 [4 per cell]  1 Cu 2.57, 2 Sn 2.83

(8)
# TbCuSn

A relaxed TbCuSn crystal (r2SCAN, the Materials Project database).

Summary:
E (eV per atom): -22.958

abc: 4.5154 4.5154 7.3310
angles: 90.00 90.00 120.00
Last column: nearest neighbours and their distance in Å.
Space group P6_3mc (No. 186)
Asymmetric unit:
Tb  0.0000  0.0000  0.0000 [2 per cell]  3 Cu 2.91, 3 Sn 3.11
Cu  0.3333  0.6667  0.1772 [2 per cell]  4 Sn 2.69-2.99, 3 Tb 2.91
Sn  0.3333  0.6667  0.7692 [2 per cell]  4 Cu 2.69-2.99

(9)
# ThCu5Sn

A relaxed ThCu5Sn crystal (r2SCAN, the Materials Project database).

Summary:
E (eV per atom): -22.015

abc: 8.3055 5.0541 10.5652
angles: 90.00 90.00 90.00
Last column: nearest neighbours and their distance in Å.
Space group Pnma (No. 62)
Asymmetric unit:
Th  0.2495  0.2500  0.0564 [4 per cell]  6 Cu 2.85-3.16
Cu  0.0682  0.2500  0.6077 [4 per cell]  4 Cu 2.52-2.57, 1 Sn 2.69
Cu  0.0722  0.5014  0.8137 [8 per cell]  7 Cu 2.51-2.54, 2 Sn 2.78-2.80
Cu  0.0797  0.7500  0.0187 [4 per cell]  5 Cu 2.51-2.53
Cu  0.1791  0.7500  0.2454 [4 per cell]  7 Cu 2.52-2.57, 2 Sn 2.82
Sn  0.1348  0.2500  0.3586 [4 per cell]  8 Cu 2.69-2.91

(10)
# Ti5CuSn3

A relaxed Ti5CuSn3 crystal (r2SCAN, the Materials Project database).

Summary:
E (eV per atom): -17.019

abc: 5.5677 14.1500 8.1693
angles: 90.00 90.00 90.00
Last column: nearest neighbours and their distance in Å.
Space group Amm2 (No. 38)
Asymmetric unit:
Ti  0.0000  0.0000  0.0000 [2 per cell]  2 Cu 2.57, 3 Sn 2.79-2.85
Ti  0.0000  0.1330  0.4013 [4 per cell]  2 Cu 2.59, 3 Sn 2.78-2.86
Ti  0.2500  0.1664  0.7678 [8 per cell]  2 Ti 2.78, 6 Sn 2.90-2.91
Ti  0.5000  0.0000  0.5339 [2 per cell]  2 Cu 2.60, 3 Sn 2.78-2.86
Ti  0.5000  0.1339  0.1344 [4 per cell]  2 Cu 2.58, 3 Sn 2.78-2.86
Cu  0.2496  0.0000  0.2652 [4 per cell]  6 Ti 2.57-2.60, 2 Cu 2.78-2.79
Sn  0.0000  0.0000  0.6510 [2 per cell]  9 Ti 2.78-2.94
Sn  0.0000  0.1920  0.0761 [4 per cell]  9 Ti 2.78-2.94
Sn  0.5000  0.0000  0.8843 [2 per cell]  9 Ti 2.79-2.94
Sn  0.5000  0.1914  0.4594 [4 per cell]  9 Ti 2.78-2.94

(11)
# Tm3Cu4Sn4

A relaxed Tm3Cu4Sn4 crystal (r2SCAN, the Materials Project database).

Summary:
E (eV per atom): -23.046

abc: 4.4037 6.8832 14.5030
angles: 90.00 90.00 90.00
Last column: nearest neighbours and their distance in Å.
Space group Immm (No. 71)
Asymmetric unit:
Tm  0.0000  0.0000  0.0000 [2 per cell]  6 Sn 3.00-3.14
Tm  0.0000  0.5000  0.1310 [4 per cell]  6 Sn 3.12-3.23, 6 Cu 3.13-3.14
Cu  0.0000  0.3115  0.3281 [8 per cell]  1 Cu 2.59, 4 Sn 2.60-2.69
Sn  0.0000  0.0000  0.2163 [4 per cell]  6 Cu 2.64-2.69
Sn  0.0000  0.2038  0.5000 [4 per cell]  2 Cu 2.60, 1 Sn 2.81

(12)
# TmCu5Sn

A relaxed TmCu5Sn crystal (r2SCAN, the Materials Project database).

Summary:
E (eV per atom): -16.565

abc: 8.0912 4.9171 10.5086
angles: 90.00 90.00 90.00
Last column: nearest neighbours and their distance in Å.
Space group Pnma (No. 62)
Asymmetric unit:
Tm  0.2489  0.2500  0.0636 [4 per cell]  10 Cu 2.83-3.13
Cu  0.0600  0.2500  0.6026 [4 per cell]  4 Cu 2.54-2.56, 1 Sn 2.61
Cu  0.0689  0.5018  0.8134 [8 per cell]  7 Cu 2.44-2.54, 1 Sn 2.72
Cu  0.0851  0.7500  0.0169 [4 per cell]  5 Cu 2.47-2.50
Cu  0.1830  0.7500  0.2415 [4 per cell]  7 Cu 2.45-2.56
Sn  0.1369  0.2500  0.3618 [4 per cell]  8 Cu 2.61-2.79